[1]
{
  "formula": "Gd2PdRu",
  "functional": "r2SCAN",
  "state": "relaxed",
  "total_energy_ev_per_cell": -137.3,
  "e_form_ev_per_atom": -0.54,
  "sg": "C2/m",
  "crystal_system": "monoclinic",
  "cell": [[-1.3694, 0.9347, 4.5989], [-1.9991, 4.3502, 1.1175], [-4.7725, 0.3163, 1.1116]],
  "species": ["Gd", "Gd", "Pd", "Ru"],
  "frac_coords": [[0.0000, 0.9999, 0.0001], [0.5000, 0.5001, 0.4999], [0.2500, 0.2500, 0.2500], [0.7500, 0.7500, 0.7500]]
}

***

[2]
{
  "formula": "Eu2BiAu",
  "functional": "r2SCAN",
  "state": "relaxed",
  "total_energy_ev_per_cell": -190.0,
  "e_form_ev_per_atom": -0.98,
  "sg": "Fm-3m",
  "crystal_system": "cubic",
  "cell": [[-5.0457, 0.9305, 2.0361], [-1.4347, 5.0832, 1.6043], [-3.6729, 2.8882, -2.9392]],
  "species": ["Eu", "Eu", "Bi", "Au"],
  "frac_coords": [[0.2500, 0.2500, 0.2500], [0.7500, 0.7500, 0.7500], [0.0000, 0.0000, 0.0000], [0.5000, 0.5000, 0.5000]]
}

***

[3]
{
  "formula": "HoInIr",
  "functional": "r2SCAN",
  "state": "relaxed",
  "total_energy_ev_per_cell": -331.0,
  "e_form_ev_per_atom": -0.84,
  "sg": "P-62m",
  "crystal_system": "hexagonal",
  "cell": [[7.4245, 0.0000, 0.0000], [-3.7122, 6.4298, 0.0000], [0.0000, 0.0000, 3.9558]],
  "species": ["Ho", "Ho", "Ho", "In", "In", "In", "Ir", "Ir", "Ir"],
  "frac_coords": [[0.5946, 0.5946, 0.0000], [0.4054, 0.0000, 0.0000], [0.0000, 0.4054, 0.0000], [0.0000, 0.7436, 0.5000], [0.2564, 0.2564, 0.5000], [0.7436, 0.0000, 0.5000], [0.0000, 0.0000, 0.0000], [0.6667, 0.3333, 0.5000], [0.3333, 0.6667, 0.5000]]
}

***

[4]
{
  "formula": "LiCr2S4",
  "functional": "r2SCAN",
  "state": "relaxed",
  "total_energy_ev_per_cell": -143.9,
  "e_form_ev_per_atom": -1.04,
  "sg": "I4_1/amd",
  "crystal_system": "tetragonal",
  "cell": [[6.5012, 2.6848, 0.1132], [1.6176, -4.2269, 5.3855], [-2.5545, -2.7378, -5.9553]],
  "species": ["Li", "Li", "Cr", "Cr", "Cr", "Cr", "S", "S", "S", "S", "S", "S", "S", "S"],
  "frac_coords": [[0.0000, 0.0000, 0.0000], [0.7500, 0.2500, 0.5000], [0.8750, 0.6250, 0.2500], [0.3750, 0.1250, 0.7500], [0.3750, 0.6250, 0.7500], [0.3750, 0.6250, 0.2500], [0.6136, 0.3842, 0.2294], [0.6158, 0.3864, 0.7706], [0.1548, 0.3842, 0.7706], [0.6158, 0.8452, 0.2294], [0.1364, 0.8658, 0.2706], [0.1342, 0.4048, 0.2706], [0.5952, 0.8658, 0.7294], [0.1342, 0.8636, 0.7294]]
}

***

[5]
{
  "formula": "LiV3O4",
  "functional": "r2SCAN",
  "state": "relaxed",
  "total_energy_ev_per_cell": -174.2,
  "e_form_ev_per_atom": -2.32,
  "cell": [[-5.5076, 2.0189, -1.6101], [4.1256, -1.0431, -4.1982], [-3.8060, -3.6639, -2.7971]],
  "species": ["Li", "Li", "V", "V", "V", "V", "V", "V", "O", "O", "O", "O", "O", "O", "O", "O"],
  "frac_coords": [[0.9999, 0.5000, 0.0000], [0.4999, 0.5000, 0.0000], [0.0000, 0.0000, 0.5000], [0.0000, 0.5000, 0.5000], [0.5000, 0.5000, 0.5000], [0.5000, 0.0000, 0.5000], [0.5000, 0.0000, 0.0000], [0.0000, 0.0000, 0.0000], [0.0153, 0.7627, 0.7374], [0.5153, 0.7627, 0.7373], [0.4847, 0.2374, 0.2627], [0.9847, 0.2373, 0.2627], [0.9999, 0.7540, 0.2539], [0.5000, 0.7539, 0.2539], [0.4999, 0.2461, 0.7461], [0.0000, 0.2461, 0.7461]]
}

***

[6]
{
  "formula": "V4OF11",
  "functional": "r2SCAN",
  "state": "relaxed",
  "total_energy_ev_per_cell": -147.5,
  "e_form_ev_per_atom": -3.18,
  "sg": "P1",
  "crystal_system": "triclinic",
  "cell": [[1.4990, 2.3922, -4.2121], [5.9471, -4.1778, -0.3207], [-2.9910, -3.2950, -2.9346]],
  "species": ["V", "V", "V", "V", "O", "F", "F", "F", "F", "F", "F", "F", "F", "F", "F", "F"],
  "frac_coords": [[0.5107, 0.4814, 0.4997], [0.5041, 0.0049, 0.5000], [0.0008, 0.5025, 0.9997], [0.0007, 0.0004, 0.0006], [0.5891, 0.2551, 0.4998], [0.8747, 0.2482, 0.0007], [0.8110, 0.5607, 0.3107], [0.8132, 0.9430, 0.6898], [0.6850, 0.9390, 0.1918], [0.6936, 0.5635, 0.8102], [0.3957, 0.7438, 0.5009], [0.3076, 0.4424, 0.1869], [0.3164, 0.0591, 0.8097], [0.1855, 0.0543, 0.3125], [0.1850, 0.4472, 0.6870], [0.1271, 0.7544, 0.0000]]
}

***

[7]
{
  "formula": "KBiF6",
  "functional": "r2SCAN",
  "state": "relaxed",
  "total_energy_ev_per_cell": -407.7,
  "e_form_ev_per_atom": -2.33,
  "sg": "Ia-3",
  "crystal_system": "cubic",
  "cell": [[4.6806, 7.3288, 1.9566], [-7.6694, 0.0722, 4.5412], [4.7143, -7.2237, 2.2451]],
  "species": ["K", "K", "K", "K", "Bi", "Bi", "Bi", "Bi", "F", "F", "F", "F", "F", "F", "F", "F", "F", "F", "F", "F", "F", "F", "F", "F", "F", "F", "F", "F", "F", "F", "F", "F"],
  "frac_coords": [[0.5000, 0.5000, 0.5000], [0.0000, 0.5000, 0.0000], [0.0000, 0.0000, 0.5000], [0.5000, 0.0000, 0.0000], [0.0000, 0.0000, 0.0000], [0.5000, 0.5000, 0.0000], [0.0000, 0.5000, 0.5000], [0.5000, 0.0000, 0.5000], [0.0523, 0.2619, 0.0904], [0.2381, 0.2904, 0.8284], [0.2096, 0.4477, 0.5380], [0.9620, 0.4096, 0.6716], [0.2904, 0.8284, 0.2381], [0.5380, 0.2096, 0.4477], [0.4096, 0.6716, 0.9620], [0.0904, 0.0523, 0.2619], [0.2619, 0.0904, 0.0523], [0.8284, 0.2381, 0.2904], [0.4477, 0.5380, 0.2096], [0.6716, 0.9620, 0.4096], [0.9477, 0.7381, 0.9096], [0.7619, 0.7096, 0.1716], [0.7904, 0.5523, 0.4620], [0.0380, 0.5904, 0.3284], [0.7096, 0.1716, 0.7619], [0.4620, 0.7904, 0.5523], [0.5904, 0.3284, 0.0380], [0.9096, 0.9477, 0.7381], [0.7381, 0.9096, 0.9477], [0.1716, 0.7619, 0.7096], [0.5523, 0.4620, 0.7904], [0.3284, 0.0380, 0.5904]]
}

***

[8]
{
  "formula": "Rb2CdI4",
  "functional": "r2SCAN",
  "state": "relaxed",
  "total_energy_ev_per_cell": -310.7,
  "e_form_ev_per_atom": -1.31,
  "sg": "P2_1/m",
  "crystal_system": "monoclinic",
  "cell": [[0.1556, 2.3811, -7.8614], [-5.3881, -6.1500, -1.9694], [-7.4604, 5.0232, 4.7248]],
  "species": ["Rb", "Rb", "Rb", "Rb", "Cd", "Cd", "I", "I", "I", "I", "I", "I", "I", "I"],
  "frac_coords": [[0.2164, 0.2500, 0.5523], [0.7836, 0.7500, 0.4477], [0.2567, 0.2500, 0.0662], [0.7433, 0.7500, 0.9338], [0.7755, 0.2500, 0.6998], [0.2245, 0.7500, 0.3002], [0.5895, 0.2500, 0.4166], [0.4105, 0.7500, 0.5834], [0.9930, 0.0071, 0.2390], [0.0070, 0.9929, 0.7610], [0.0070, 0.5071, 0.7610], [0.9930, 0.4929, 0.2390], [0.5779, 0.2500, 0.8788], [0.4221, 0.7500, 0.1212]]
}

***

| no. | size of the total moment (μB/cell) |
| --- | --- |
| 1 | 14.1 |
| 2 | 14.0 |
| 3 | 0.0 |
| 4 | 10.0 |
| 5 | 16.0 |
| 6 | 7.0 |
| 7 | 0.0 |
| 8 | 0.0 |